Entry from the Materials Project database: a relaxed structure of Nb6RuRh (PBE-GGA).

Properties
The formation energy is -0.2192 eV/atom. The raw total energy is -9.875 eV/atom.

Unit cell a=5.181 b=5.181 c=5.181 alpha=90.00 beta=90.00 gamma=90.00
Space group Pm-3 (No. 200)
Unique sites:
Nb 0.000 0.251 0.500 [6 per cell]
Ru 0.500 0.500 0.500 [1 per cell]
Rh 0.000 0.000 0.000 [1 per cell]

---

Entry from the Materials Project database: a relaxed structure of Nb3RhSe6 (PBE-GGA).

Properties
The corrected total energy (MP2020 scheme) is -69.25 eV per formula unit. The formation energy is -1.0609 eV/atom. The raw total energy is -6.642 eV/atom.

Unit cell a=6.0674 b=6.0674 c=12.7174 alpha=90.00 beta=90.00 gamma=120.00
Space group P6_322 (No. 182)
Unique sites:
Nb 0.0000 0.0000 0.0000 [2 per cell]
Nb 0.3333 0.6667 0.0005 [4 per cell]
Rh 0.3333 0.6667 0.7500 [2 per cell]
Se 0.0046 0.3327 0.3684 [12 per cell]